Entry 1:
The following is a DFT calculation (r2SCAN) of a geometry-optimized TbZnSn structure.

Cell and atoms, written as CIF:
```
data_TbZnSn
_chemical_formula_sum 'Tb4 Zn4 Sn4'
_space_group_name_H-M_alt 'P 1'
_space_group_IT_number 1
_space_group_name_Hall 'P 1'
_cell_length_a 4.461
_cell_length_b 4.461
_cell_length_c 16.129
_cell_angle_alpha 90.00
_cell_angle_beta 90.00
_cell_angle_gamma 120.00
loop_
_atom_site_label
_atom_site_fract_x
_atom_site_fract_y
_atom_site_fract_z
Zn1 0.333 0.667 0.339
Zn2 0.667 0.333 0.661
Zn3 0.333 0.667 0.161
Zn4 0.667 0.333 0.839
Sn1 0.333 0.667 0.614
Sn2 0.667 0.333 0.114
Sn3 0.333 0.667 0.886
Sn4 0.667 0.333 0.386
Tb1 0.000 0.000 0.500
Tb2 0.000 0.000 0.250
Tb3 0.000 0.000 0.000
Tb4 0.000 0.000 0.750
```

=====

Entry 2:
# Li3FeF6, optimized geometry, DFT r2SCAN
# energy above the lowest structure with this stoichiometry	0.000	eV/atom
data_Li3FeF6
_chemical_formula_sum 'Li18 Fe6 F36'
_space_group_name_H-M_alt 'P 1'
_space_group_IT_number 1
_space_group_name_Hall 'P 1'
_cell_length_a 8.302
_cell_length_b 8.302
_cell_length_c 9.895
_cell_angle_alpha 84.67
_cell_angle_beta 84.67
_cell_angle_gamma 62.36
loop_
_atom_site_label
_atom_site_fract_x
_atom_site_fract_y
_atom_site_fract_z
F1 0.930 0.920 0.672
F2 0.275 0.228 0.150
F3 0.913 0.244 0.563
F4 0.251 0.575 0.686
F5 0.087 0.756 0.437
F6 0.244 0.913 0.063
F7 0.901 0.584 0.114
F8 0.575 0.251 0.186
F9 0.905 0.242 0.069
F10 0.568 0.897 0.118
F11 0.573 0.589 0.064
F12 0.897 0.568 0.618
F13 0.758 0.095 0.431
F14 0.756 0.087 0.937
F15 0.242 0.905 0.569
F16 0.425 0.749 0.814
F17 0.749 0.425 0.314
F18 0.772 0.725 0.350
F19 0.584 0.901 0.614
F20 0.416 0.099 0.386
F21 0.434 0.756 0.313
F22 0.589 0.573 0.564
F23 0.432 0.103 0.882
F24 0.920 0.930 0.172
F25 0.080 0.070 0.828
F26 0.244 0.566 0.187
F27 0.095 0.758 0.931
F28 0.228 0.275 0.650
F29 0.756 0.434 0.813
F30 0.411 0.427 0.436
F31 0.427 0.411 0.936
F32 0.070 0.080 0.328
F33 0.725 0.772 0.850
F34 0.566 0.244 0.687
F35 0.099 0.416 0.886
F36 0.103 0.432 0.382
Li1 0.816 0.184 0.250
Li2 0.531 0.129 0.047
Li3 0.672 0.363 0.975
Li4 0.363 0.672 0.475
Li5 0.637 0.328 0.525
Li6 0.007 0.702 0.270
Li7 0.129 0.531 0.547
Li8 0.346 0.059 0.567
Li9 0.941 0.654 0.933
Li10 0.871 0.469 0.453
Li11 0.469 0.871 0.953
Li12 0.993 0.298 0.730
Li13 0.298 0.993 0.230
Li14 0.654 0.941 0.433
Li15 0.702 0.007 0.770
Li16 0.328 0.637 0.025
Li17 0.184 0.816 0.750
Li18 0.059 0.346 0.067
Fe1 0.000 0.000 0.000
Fe2 0.656 0.662 0.711
Fe3 0.662 0.656 0.211
Fe4 0.000 0.000 0.500
Fe5 0.344 0.338 0.289
Fe6 0.338 0.344 0.789

=====

Entry 3:
The following is a DFT calculation (r2SCAN) of a geometry-optimized DyMg2 structure.

Cell and atoms, written as CIF:
```
data_DyMg2
_chemical_formula_sum 'Dy4 Mg8'
_space_group_name_H-M_alt 'P 1'
_space_group_IT_number 1
_space_group_name_Hall 'P 1'
_cell_length_a 6.023
_cell_length_b 6.023
_cell_length_c 9.795
_cell_angle_alpha 90.00
_cell_angle_beta 90.00
_cell_angle_gamma 120.00
loop_
_atom_site_label
_atom_site_fract_x
_atom_site_fract_y
_atom_site_fract_z
Dy1 0.333 0.667 0.436
Dy2 0.667 0.333 0.936
Dy3 0.667 0.333 0.564
Dy4 0.333 0.667 0.064
Mg1 0.829 0.658 0.250
Mg2 0.829 0.171 0.250
Mg3 0.000 0.000 0.000
Mg4 0.171 0.829 0.750
Mg5 0.000 0.000 0.500
Mg6 0.658 0.829 0.750
Mg7 0.342 0.171 0.250
Mg8 0.171 0.342 0.750
```

=====

Result set for V: 23.2; 10.0; 25.6 A^3/atom, one per record in the order listed.
Result set for energy relative to the elements: -695; -2964; -83 meV/atom, one per record in the order listed.